Entry 1:
## ScSiRh (r²SCAN)

Data for ScSiRh after structural relaxation.

Lattice parameters (Å, degrees): 6.519 4.068 7.221 90.00 90.00 90.00
Space group Pnma (No. 62)
One atom of each set of equivalent atoms:
Sc 0.007 0.250 0.190 x4
Si 0.212 0.750 0.386 x4
Rh 0.156 0.250 0.563 x4

Summary:
* ΔE_f: -1.1679 eV/atom
* magnetic moment: 0.00 μB per cell

---

Entry 2:
## Sc3Si3Rh (r²SCAN)

Data for Sc3Si3Rh after structural relaxation.

Lattice parameters (Å, degrees): 11.691 4.023 10.204 90.00 90.00 90.00
Space group Pnma (No. 62)
One atom of each set of equivalent atoms:
Sc 0.020 0.250 0.123 x4
Sc 0.102 0.250 0.420 x4
Sc 0.200 0.750 0.659 x4
Si 0.045 0.250 0.695 x4
Si 0.158 0.750 0.250 x4
Si 0.177 0.750 0.014 x4
Rh 0.179 0.250 0.889 x4

Summary:
* ΔE_f: -1.0041 eV/atom
* magnetic moment: 0.00 μB per cell

---

Entry 3:
## RhSe2 (r²SCAN)

Data for RhSe2 after structural relaxation.

Lattice parameters (Å, degrees): 21.103 3.729 5.995 90.00 90.00 90.00
Space group Pnma (No. 62)
One atom of each set of equivalent atoms:
Rh 0.076 0.250 0.075 x4
Rh 0.195 0.750 0.556 x4
Se 0.007 0.750 0.224 x4
Se 0.121 0.250 0.453 x4
Se 0.140 0.750 0.930 x4
Se 0.237 0.750 0.179 x4

Summary:
* ΔE_f: -0.5163 eV/atom
* magnetic moment: 0.00 μB per cell

---

Entry 4:
## RhSe2 (r²SCAN)

Data for RhSe2 after structural relaxation.

Lattice parameters (Å, degrees): 6.050 6.050 6.050 90.00 90.00 90.00
Space group Pa-3 (No. 205)
One atom of each set of equivalent atoms:
Rh 0.000 0.000 0.000 x4
Se 0.123 0.623 0.877 x8

Summary:
* ΔE_f: -0.4551 eV/atom
* magnetic moment: 0.00 μB per cell

---

Entry 5:
## SiRh2 (r²SCAN)

Data for SiRh2 after structural relaxation.

Lattice parameters (Å, degrees): 5.457 3.926 7.376 90.00 90.00 90.00
Space group Pnma (No. 62)
One atom of each set of equivalent atoms:
Si 0.223 0.250 0.106 x4
Rh 0.027 0.250 0.804 x4
Rh 0.159 0.250 0.430 x4

Summary:
* ΔE_f: -0.7422 eV/atom
* magnetic moment: 0.00 μB per cell

---

Entry 6:
## Si3Rh5 (r²SCAN)

Data for Si3Rh5 after structural relaxation.

Lattice parameters (Å, degrees): 5.350 10.234 3.870 90.00 90.00 90.00
Space group Pbam (No. 55)
One atom of each set of equivalent atoms:
Si 0.000 0.000 0.000 x2
Si 0.094 0.344 0.500 x4
Rh 0.000 0.500 0.000 x2
Rh 0.160 0.788 0.000 x4
Rh 0.167 0.107 0.500 x4

Summary:
* ΔE_f: -0.7683 eV/atom
* magnetic moment: 0.00 μB per cell

---

Entry 7:
## SmSi2Rh2 (r²SCAN)

Data for SmSi2Rh2 after structural relaxation.

Lattice parameters (Å, degrees): 4.072 4.072 10.047 90.00 90.00 90.00
Space group I4/mmm (No. 139)
One atom of each set of equivalent atoms:
Sm 0.000 0.000 0.000 x2
Si 0.000 0.000 0.376 x4
Rh 0.000 0.500 0.250 x4

Summary:
* ΔE_f: -1.1814 eV/atom
* magnetic moment: 0.00 μB per cell

---

Entry 8:
## SmSi3Rh (r²SCAN)

Data for SmSi3Rh after structural relaxation.

Lattice parameters (Å, degrees): 4.198 4.198 9.784 90.00 90.00 90.00
Space group I4mm (No. 107)
One atom of each set of equivalent atoms:
Sm 0.000 0.000 0.000 x2
Si 0.000 0.000 0.415 x2
Si 0.000 0.500 0.264 x4
Rh 0.000 0.000 0.655 x2

Summary:
* ΔE_f: -0.8302 eV/atom
* magnetic moment: 0.00 μB per cell